1.
Density functional theory data (PBE-GGA) for an optimized crystal structure of Li2Sn2S3O12.

Cell lengths 9.2091, 9.3644, 26.6145 Å; angles 90.00, 90.00, 90.00 degrees
Fractional positions:
S1 0.6543 0.2611 0.0431
S2 0.8522 0.4427 0.2069
S3 0.3246 0.5870 0.1134
S4 0.6543 0.2389 0.5431
S5 0.1478 0.9427 0.2931
S6 0.8246 0.5870 0.3866
S7 0.6754 0.0870 0.3866
S8 0.8457 0.7389 0.5431
S9 0.1543 0.2611 0.4569
S10 0.3522 0.4427 0.2931
S11 0.6478 0.9427 0.2069
S12 0.1754 0.0870 0.1134
S13 0.3457 0.7389 0.9569
S14 0.3246 0.9130 0.6134
S15 0.3522 0.0573 0.7931
S16 0.6478 0.5573 0.7069
S17 0.1543 0.2389 0.9569
S18 0.8522 0.0573 0.7069
S19 0.1478 0.5573 0.7931
S20 0.8457 0.7611 0.0431
S21 0.1754 0.4130 0.6134
S22 0.8246 0.9130 0.8866
S23 0.3457 0.7611 0.4569
S24 0.6754 0.4130 0.8866
O1 0.2223 0.9665 0.0802
O2 0.1920 0.4692 0.2921
O3 0.4020 0.0730 0.8456
O4 0.3080 0.5308 0.7921
O5 0.0821 0.3164 0.5828
O6 0.2777 0.0335 0.5802
O7 0.0721 0.4340 0.7691
O8 0.8080 0.5308 0.7079
O9 0.4162 0.6015 0.9705
O10 0.4144 0.9697 0.6562
O11 0.0813 0.1390 0.4837
O12 0.1963 0.8376 0.6335
O13 0.8098 0.2397 0.5261
O14 0.9279 0.9340 0.7309
O15 0.9162 0.8985 0.0295
O16 0.5980 0.9270 0.1544
O17 0.5813 0.3610 0.5163
O18 0.9020 0.4270 0.1544
O19 0.5813 0.1390 0.0163
O20 0.4020 0.4270 0.3456
O21 0.8531 0.7368 0.0981
O22 0.8037 0.1624 0.3665
O23 0.4187 0.6390 0.4837
O24 0.3098 0.2603 0.4739
O25 0.2223 0.5335 0.5802
O26 0.0980 0.5730 0.8456
O27 0.9020 0.0730 0.6544
O28 0.0721 0.0660 0.2691
O29 0.4144 0.5303 0.1562
O30 0.0838 0.1015 0.9705
O31 0.7777 0.4665 0.4198
O32 0.6154 0.8081 0.2354
O33 0.9162 0.6015 0.5295
O34 0.6469 0.2368 0.0981
O35 0.3098 0.2397 0.9739
O36 0.3531 0.7368 0.4019
O37 0.0856 0.0303 0.1562
O38 0.9144 0.5303 0.3438
O39 0.3846 0.1919 0.7646
O40 0.1469 0.2632 0.9019
O41 0.9179 0.8164 0.9172
O42 0.9187 0.8610 0.5163
O43 0.4162 0.8985 0.4705
O44 0.8531 0.7632 0.5981
O45 0.1920 0.0308 0.7921
O46 0.4279 0.9340 0.7691
O47 0.8846 0.1919 0.7354
O48 0.7777 0.0335 0.9198
O49 0.5838 0.3985 0.0295
O50 0.9187 0.6390 0.0163
O51 0.0813 0.3610 0.9837
O52 0.6963 0.8376 0.8665
O53 0.6920 0.4692 0.2079
O54 0.7223 0.5335 0.9198
O55 0.0838 0.3985 0.4705
O56 0.2777 0.4665 0.0802
O57 0.6902 0.7603 0.0261
O58 0.9179 0.6836 0.4172
O59 0.8846 0.3081 0.2354
O60 0.8080 0.9692 0.2079
O61 0.0980 0.9270 0.3456
O62 0.4179 0.6836 0.0828
O63 0.7223 0.9665 0.4198
O64 0.3080 0.9692 0.2921
O65 0.6154 0.6919 0.7354
O66 0.1902 0.7603 0.4739
O67 0.3531 0.7632 0.9019
O68 0.3037 0.1624 0.1335
O69 0.8098 0.2603 0.0261
O70 0.4279 0.5660 0.2691
O71 0.3846 0.3081 0.2646
O72 0.6963 0.6624 0.3665
O73 0.1963 0.6624 0.1335
O74 0.1154 0.6919 0.7646
O75 0.5821 0.1836 0.4172
O76 0.4179 0.8164 0.5828
O77 0.5856 0.0303 0.3438
O78 0.1154 0.8081 0.2646
O79 0.1902 0.7397 0.9739
O80 0.5721 0.0660 0.2309
O81 0.9279 0.5660 0.2309
O82 0.5980 0.5730 0.6544
O83 0.9144 0.9697 0.8438
O84 0.5821 0.3164 0.9172
O85 0.6902 0.7397 0.5261
O86 0.5856 0.4697 0.8438
O87 0.5838 0.1015 0.5295
O88 0.3037 0.3376 0.6335
O89 0.6469 0.2632 0.5981
O90 0.0821 0.1836 0.0828
O91 0.5721 0.4340 0.7309
O92 0.6920 0.0308 0.7079
O93 0.8037 0.3376 0.8665
O94 0.4187 0.8610 0.9837
O95 0.0856 0.4697 0.6562
O96 0.1469 0.2368 0.4019
Sn1 0.4974 0.7859 0.3263
Sn2 0.4974 0.7141 0.8263
Sn3 0.0000 0.0925 0.5701
Sn4 0.5026 0.2141 0.6737
Sn5 0.0000 0.9075 0.4299
Sn6 0.5000 0.5925 0.5701
Sn7 0.0026 0.2141 0.8263
Sn8 0.0026 0.2859 0.3263
Sn9 0.9974 0.7141 0.6737
Sn10 0.9974 0.7859 0.1737
Sn11 0.5026 0.2859 0.1737
Sn12 0.5000 0.4075 0.4299
Sn13 0.5000 0.9075 0.0701
Sn14 0.5000 0.0925 0.9299
Sn15 0.0000 0.5925 0.9299
Sn16 0.0000 0.4075 0.0701
Li1 0.0449 0.8791 0.7894
Li2 0.1278 0.9256 0.0122
Li3 0.9551 0.1209 0.2106
Li4 0.3722 0.4256 0.0122
Li5 0.9551 0.3791 0.7106
Li6 0.1278 0.5744 0.5122
Li7 0.3722 0.0744 0.5122
Li8 0.4551 0.1209 0.2894
Li9 0.5449 0.6209 0.2106
Li10 0.5449 0.8791 0.7106
Li11 0.0449 0.6209 0.2894
Li12 0.8722 0.4256 0.4878
Li13 0.8722 0.0744 0.9878
Li14 0.6278 0.5744 0.9878
Li15 0.6278 0.9256 0.4878
Li16 0.4551 0.3791 0.7894

Values from the calculation:
Magnetization ... 0.00 μB/f.u.
Energy above the lowest structure with this stoichiometry ... 0.00 eV/f.u.

2.
Density functional theory data (PBE-GGA) for an optimized crystal structure of Nd2H22C10N6O21.

Cell lengths 9.1879, 9.1879, 15.7420 Å; angles 77.25, 77.25, 78.60 degrees
Fractional positions:
H1 0.8248 0.9937 0.4544
H2 0.9540 0.8823 0.4994
H3 0.4062 0.8133 0.8874
H4 0.7722 0.7191 0.4925
H5 0.8823 0.9540 0.9994
H6 0.2809 0.2278 0.0075
H7 0.4071 0.5957 0.3934
H8 0.5957 0.4071 0.8934
H9 0.2278 0.2809 0.5075
H10 0.1737 0.7282 0.8334
H11 0.7282 0.1737 0.3334
H12 0.8263 0.2718 0.1666
H13 0.4043 0.5929 0.1066
H14 0.3915 0.4062 0.3979
H15 0.4588 0.6503 0.7547
H16 0.5929 0.4043 0.6066
H17 0.8133 0.4062 0.3874
H18 0.1325 0.9016 0.8342
H19 0.0063 0.1752 0.0456
H20 0.1304 0.3576 0.5986
H21 0.2718 0.8263 0.6666
H22 0.6085 0.5938 0.6021
H23 0.9937 0.8248 0.9544
H24 0.4062 0.3915 0.8979
H25 0.1752 0.0063 0.5456
H26 0.7191 0.7722 0.9925
H27 0.6924 0.3070 0.4744
H28 0.3076 0.6930 0.5256
H29 0.0460 0.1177 0.5006
H30 0.8696 0.6424 0.4014
H31 0.3070 0.6924 0.9744
H32 0.8675 0.0984 0.1658
H33 0.6424 0.8696 0.9014
H34 0.6930 0.3076 0.0256
H35 0.9016 0.1325 0.3342
H36 0.1177 0.0460 0.0006
H37 0.0984 0.8675 0.6658
H38 0.3576 0.1304 0.0986
H39 0.1867 0.5938 0.6126
H40 0.5412 0.3497 0.2453
H41 0.5938 0.6085 0.1021
H42 0.3497 0.5412 0.7453
H43 0.6503 0.4588 0.2547
H44 0.5938 0.1867 0.1126
N1 0.6070 0.2449 0.0490
N2 0.3688 0.2065 0.0403
N3 0.2065 0.3688 0.5403
N4 0.7935 0.6312 0.4597
N5 0.3930 0.7551 0.9510
N6 0.4998 0.3636 0.9261
N7 0.7551 0.3930 0.4510
N8 0.5002 0.6364 0.0739
N9 0.6364 0.5002 0.5739
N10 0.6312 0.7935 0.9597
N11 0.2449 0.6070 0.5490
N12 0.3636 0.4998 0.4261
C1 0.5087 0.0850 0.4858
C2 0.7707 0.6060 0.7629
C3 0.8263 0.0985 0.7973
C4 0.0850 0.5087 0.9858
C5 0.9150 0.4913 0.0142
C6 0.6060 0.7707 0.2629
C7 0.6593 0.9256 0.2222
C8 0.2293 0.3940 0.2371
C9 0.2718 0.4921 0.5053
C10 0.4913 0.9150 0.5142
C11 0.5079 0.7282 0.9947
C12 0.1737 0.9015 0.2027
C13 0.3940 0.2293 0.7371
C14 0.9256 0.6593 0.7222
C15 0.0744 0.3407 0.2778
C16 0.3407 0.0744 0.7778
C17 0.0985 0.8263 0.2973
C18 0.4921 0.2718 0.0053
C19 0.7282 0.5079 0.4947
C20 0.9015 0.1737 0.7027
Nd1 0.9685 0.6795 0.1609
Nd2 0.3205 0.0315 0.3391
Nd3 0.6795 0.9685 0.6609
Nd4 0.0315 0.3205 0.8391
O1 0.1591 0.4516 0.9197
O2 0.7732 0.4745 0.8086
O3 0.9075 0.1946 0.1445
O4 0.1528 0.0751 0.4885
O5 0.6546 0.6996 0.7454
O6 0.0767 0.2065 0.3205
O7 0.8472 0.9249 0.5115
O8 0.1325 0.8618 0.3629
O9 0.9249 0.8472 0.0115
O10 0.5255 0.2268 0.6914
O11 0.8618 0.1325 0.8629
O12 0.0751 0.1528 0.9885
O13 0.0925 0.8054 0.8555
O14 0.3454 0.3004 0.2546
O15 0.5784 0.1358 0.5309
O16 0.1358 0.5784 0.0309
O17 0.3004 0.3454 0.7546
O18 0.2640 0.9916 0.1993
O19 0.2268 0.5255 0.1914
O20 0.9233 0.7935 0.6795
O21 0.7935 0.9233 0.1795
O22 0.9566 0.4357 0.2672
O23 0.5484 0.8409 0.5803
O24 0.5643 0.0434 0.2328
O25 0.4745 0.7732 0.3086
O26 0.3546 0.6454 0.7500
O27 0.6454 0.3546 0.2500
O28 0.2065 0.0767 0.8205
O29 0.4516 0.1591 0.4197
O30 0.4216 0.8642 0.4691
O31 0.8409 0.5484 0.0803
O32 0.1946 0.9075 0.6445
O33 0.6996 0.6546 0.2454
O34 0.1382 0.8675 0.1371
O35 0.7360 0.0084 0.8007
O36 0.8675 0.1382 0.6371
O37 0.0434 0.5643 0.7328
O38 0.0084 0.7360 0.3007
O39 0.8642 0.4216 0.9691
O40 0.8054 0.0925 0.3555
O41 0.4357 0.9566 0.7672
O42 0.9916 0.2640 0.6993

Values from the calculation:
Magnetization ... 0.00 μB/f.u.

3.
Density functional theory data (PBE-GGA) for an optimized crystal structure of Sr4CaS4O16.

Cell lengths 5.1663, 4.7944, 16.6209 Å; angles 80.41, 90.00, 90.00 degrees
Fractional positions:
O1 0.7500 0.8819 0.2573
O2 0.7500 0.4847 0.1816
O3 0.2500 0.9157 0.3842
O4 0.5104 0.9109 0.1300
O5 0.9841 0.7171 0.5672
O6 0.7500 0.6272 0.6976
O7 0.4850 0.2859 0.4358
O8 0.0150 0.2859 0.4358
O9 0.4839 0.0733 0.8649
O10 0.9896 0.9109 0.1300
O11 0.2500 0.5015 0.8098
O12 0.2500 0.1016 0.7352
O13 0.0161 0.0733 0.8649
O14 0.2500 0.3979 0.3071
O15 0.7500 0.0979 0.6136
O16 0.5159 0.7171 0.5672
S1 0.2500 0.2240 0.3884
S2 0.7500 0.7864 0.6143
S3 0.7500 0.7975 0.1758
S4 0.2500 0.1897 0.8152
Ca1 0.2500 0.9652 0.9976
Sr1 0.7500 0.7604 0.4132
Sr2 0.2500 0.3464 0.1631
Sr3 0.2500 0.2466 0.5859
Sr4 0.7500 0.6034 0.8506

Values from the calculation:
Magnetization ... 0.00 μB/f.u.

4.
Density functional theory data (PBE-GGA) for an optimized crystal structure of GdAlO3.

Cell lengths 3.7353, 3.7353, 3.7353 Å; angles 90.00, 90.00, 90.00 degrees
Fractional positions:
O1 0.5000 0.0000 0.5000
O2 0.0000 0.5000 0.5000
O3 0.5000 0.5000 0.0000
Gd1 0.0000 0.0000 0.0000
Al1 0.5000 0.5000 0.5000

Values from the calculation:
Magnetization ... 7.00 μB/f.u.

5.
Density functional theory data (PBE-GGA) for an optimized crystal structure of ErAlO3.

Cell lengths 5.1764, 5.3797, 7.4098 Å; angles 90.00, 90.00, 90.00 degrees
Fractional positions:
O1 0.7970 0.7961 0.4508
O2 0.7970 0.7961 0.0492
O3 0.5940 0.0273 0.7500
O4 0.9060 0.5273 0.7500
O5 0.2030 0.2039 0.5492
O6 0.2970 0.7039 0.9508
O7 0.7030 0.2961 0.0492
O8 0.4060 0.9727 0.2500
O9 0.2970 0.7039 0.5492
O10 0.7030 0.2961 0.4508
O11 0.0940 0.4727 0.2500
O12 0.2030 0.2039 0.9508
Er1 0.9845 0.0593 0.2500
Er2 0.5155 0.5593 0.2500
Er3 0.4845 0.4407 0.7500
Er4 0.0155 0.9407 0.7500
Al1 0.0000 0.5000 0.5000
Al2 0.5000 0.0000 0.0000
Al3 0.0000 0.5000 0.0000
Al4 0.5000 0.0000 0.5000

| no. | electronic total energy (eV per formula unit) |
| --- | --- |
| 1 | -113.01 |
| 2 | -396.63 |
| 3 | -156.08 |
| 4 | -48.67 |
| 5 | -39.91 |